[1]
Crystalline LiFeSiO4 at its relaxed geometry. Source: the Materials Project database, functional GGA+U.

Energy of formation ... -2.486 eV per atom
MP2020-corrected energy ... -7.571 eV/atom

a b c (Å): 5.536 5.536 22.961
angles (deg): 90.00 90.00 60.00
Atoms (fractional coordinates):
Li  0.000  0.000  0.000
Li  0.000  0.000  0.500
Li  0.000  0.000  0.167
Li  0.000  0.000  0.667
Li  0.000  0.000  0.333
Li  0.000  0.000  0.833
Fe  0.500  0.500  0.667
Fe  0.000  0.500  0.333
Fe  0.500  0.000  0.000
Fe  0.500  0.500  0.167
Fe  0.000  0.500  0.833
Fe  0.500  0.000  0.500
Si  0.500  0.500  0.417
Si  0.500  0.500  0.917
Si  0.000  0.500  0.083
Si  0.000  0.500  0.583
Si  0.500  0.000  0.250
Si  0.500  0.000  0.750
O  0.396  0.827  0.209
O  0.396  0.827  0.709
O  0.396  0.777  0.458
O  0.396  0.777  0.958
O  0.827  0.396  0.125
O  0.827  0.396  0.625
O  0.777  0.396  0.375
O  0.777  0.396  0.875
O  0.827  0.777  0.042
O  0.827  0.777  0.542
O  0.777  0.827  0.291
O  0.777  0.827  0.791
O  0.223  0.173  0.291
O  0.223  0.173  0.791
O  0.173  0.223  0.042
O  0.173  0.223  0.542
O  0.223  0.604  0.375
O  0.223  0.604  0.875
O  0.173  0.604  0.125
O  0.173  0.604  0.625
O  0.604  0.223  0.458
O  0.604  0.223  0.958
O  0.604  0.173  0.209
O  0.604  0.173  0.709

[2]
Crystalline LiFeSiO4 at its relaxed geometry. Source: the Materials Project database, functional GGA+U.

Energy of formation ... -2.499 eV per atom
MP2020-corrected energy ... -7.584 eV/atom

a b c (Å): 5.486 8.265 18.762
angles (deg): 90.00 90.00 90.00
Atoms (fractional coordinates):
Li  0.483  0.173  0.417
Li  0.017  0.673  0.417
Li  0.500  0.830  0.250
Li  0.000  0.330  0.250
Li  0.517  0.173  0.083
Li  0.983  0.673  0.083
Li  0.483  0.827  0.917
Li  0.017  0.327  0.917
Li  0.500  0.170  0.750
Li  0.000  0.670  0.750
Li  0.517  0.827  0.583
Li  0.983  0.327  0.583
Fe  0.500  0.500  0.500
Fe  0.000  0.000  0.500
Fe  0.993  0.001  0.333
Fe  0.507  0.501  0.333
Fe  0.007  0.001  0.167
Fe  0.493  0.501  0.167
Fe  0.500  0.500  0.000
Fe  0.000  0.000  0.000
Fe  0.993  0.999  0.833
Fe  0.507  0.499  0.833
Fe  0.007  0.999  0.667
Fe  0.493  0.499  0.667
Si  0.500  0.847  0.417
Si  0.000  0.347  0.417
Si  0.500  0.154  0.250
Si  0.000  0.654  0.250
Si  0.500  0.847  0.083
Si  0.000  0.347  0.083
Si  0.500  0.153  0.917
Si  0.000  0.653  0.917
Si  0.500  0.846  0.750
Si  0.000  0.346  0.750
Si  0.500  0.153  0.583
Si  0.000  0.653  0.583
O  0.001  0.764  0.511
O  0.501  0.736  0.489
O  0.999  0.236  0.489
O  0.756  0.474  0.417
O  0.238  0.472  0.417
O  0.262  0.972  0.417
O  0.744  0.974  0.417
O  0.493  0.735  0.346
O  0.007  0.235  0.346
O  0.492  0.265  0.322
O  0.008  0.765  0.322
O  0.233  0.528  0.250
O  0.767  0.528  0.250
O  0.733  0.028  0.250
O  0.267  0.028  0.250
O  0.508  0.265  0.178
O  0.992  0.765  0.178
O  0.507  0.735  0.154
O  0.993  0.235  0.154
O  0.244  0.474  0.083
O  0.762  0.472  0.083
O  0.738  0.972  0.083
O  0.256  0.974  0.083
O  0.499  0.736  0.011
O  0.001  0.236  0.011
O  0.501  0.264  0.989
O  0.999  0.764  0.989
O  0.756  0.526  0.917
O  0.238  0.528  0.917
O  0.262  0.028  0.917
O  0.744  0.026  0.917
O  0.493  0.265  0.846
O  0.007  0.765  0.846
O  0.492  0.735  0.822
O  0.008  0.235  0.822
O  0.767  0.472  0.750
O  0.233  0.472  0.750
O  0.267  0.972  0.750
O  0.733  0.972  0.750
O  0.508  0.735  0.678
O  0.992  0.235  0.678
O  0.507  0.265  0.654
O  0.993  0.765  0.654
O  0.244  0.526  0.583
O  0.762  0.528  0.583
O  0.738  0.028  0.583
O  0.256  0.026  0.583
O  0.499  0.264  0.511

[3]
Crystalline LiFeSiO4 at its relaxed geometry. Source: the Materials Project database, functional GGA+U.

Energy of formation ... -2.469 eV per atom
MP2020-corrected energy ... -7.554 eV/atom

a b c (Å): 10.438 5.783 10.364
angles (deg): 89.28 90.00 90.00
Atoms (fractional coordinates):
Li  0.170  0.851  0.837
Li  0.330  0.851  0.337
Li  0.649  0.665  0.610
Li  0.851  0.665  0.110
Li  0.149  0.335  0.890
Li  0.351  0.335  0.390
Li  0.670  0.149  0.663
Li  0.830  0.149  0.163
Fe  0.874  0.858  0.509
Fe  0.626  0.858  0.009
Fe  0.416  0.622  0.765
Fe  0.084  0.622  0.265
Fe  0.916  0.378  0.735
Fe  0.584  0.378  0.235
Fe  0.374  0.142  0.991
Fe  0.126  0.142  0.491
Si  0.895  0.882  0.825
Si  0.605  0.882  0.325
Si  0.152  0.624  0.575
Si  0.348  0.624  0.075
Si  0.652  0.376  0.925
Si  0.848  0.376  0.425
Si  0.395  0.118  0.675
Si  0.105  0.118  0.175
O  0.803  0.873  0.954
O  0.493  0.892  0.675
O  0.697  0.873  0.454
O  0.007  0.892  0.175
O  0.809  0.888  0.688
O  0.060  0.858  0.572
O  0.691  0.888  0.188
O  0.440  0.858  0.072
O  0.253  0.667  0.688
O  0.984  0.643  0.828
O  0.247  0.667  0.188
O  0.516  0.643  0.328
O  0.567  0.611  0.889
O  0.292  0.582  0.929
O  0.933  0.611  0.389
O  0.208  0.582  0.429
O  0.792  0.418  0.571
O  0.067  0.389  0.611
O  0.708  0.418  0.071
O  0.433  0.389  0.111
O  0.484  0.357  0.672
O  0.753  0.333  0.812
O  0.016  0.357  0.172
O  0.747  0.333  0.312
O  0.560  0.142  0.928
O  0.309  0.112  0.812
O  0.940  0.142  0.428
O  0.191  0.112  0.312
O  0.993  0.108  0.825
O  0.303  0.127  0.546
O  0.507  0.108  0.325
O  0.197  0.127  0.046